# ScNbRu2 (GGA-PBE, relaxed)
# theoretical density	8.68	g cm⁻³
# energy of formation from the pure elements	-534	meV/atom
data_ScNbRu2
_chemical_formula_sum 'Sc1 Nb1 Ru2'
_cell_length_a 4.514
_cell_length_b 4.514
_cell_length_c 4.514
_cell_angle_alpha 60.00
_cell_angle_beta 60.00
_cell_angle_gamma 60.00
_space_group_name_H-M_alt 'P 1'
_space_group_IT_number 1
loop_
_space_group_symop_operation_xyz
'x,y,z'
loop_
_atom_site_label
_atom_site_type_symbol
_atom_site_fract_x
_atom_site_fract_y
_atom_site_fract_z
_atom_site_occupancy
Sc1 Sc 0.500 0.500 0.500 1
Nb1 Nb 0.000 0.000 0.000 1
Ru1 Ru 0.750 0.750 0.750 1
Ru2 Ru 0.250 0.250 0.250 1